1.
## K2MnI4 (r2SCAN)

Data for an optimized crystal structure of K2MnI4.

E_tot in eV/atom: -19.201
ΔH_f (0 K) in meV per atom: -1351

Cell: 7.961 8.203 9.695 Å, 90.00 108.05 90.00°
Fractional positions:
K1 0.217 0.250 0.052
K2 0.259 0.250 0.566
K3 0.741 0.750 0.434
K4 0.783 0.750 0.948
Mn1 0.227 0.750 0.801
Mn2 0.773 0.250 0.199
I1 0.001 0.505 0.260
I2 0.001 0.995 0.260
I3 0.411 0.750 0.085
I4 0.427 0.750 0.622
I5 0.573 0.250 0.378
I6 0.589 0.250 0.915
I7 0.999 0.005 0.740
I8 0.999 0.495 0.740



2.
## K4Ti4I12O (r2SCAN)

Data for an optimized crystal structure of K4Ti4I12O.

E_tot in eV/atom: -19.322
ΔH_f (0 K) in meV per atom: -1393

Cell: 10.597 10.597 13.832 Å, 130.74 130.74 45.04°
Fractional positions:
K1 0.084 0.084 0.403
K2 0.318 0.318 0.233
K3 0.682 0.682 0.767
K4 0.916 0.916 0.597
Ti1 0.359 0.359 0.887
Ti2 0.472 0.472 0.828
Ti3 0.528 0.528 0.172
Ti4 0.641 0.641 0.113
I1 0.082 0.571 0.709
I2 0.140 0.629 0.057
I3 0.150 0.150 0.713
I4 0.371 0.860 0.943
I5 0.429 0.918 0.291
I6 0.438 0.438 0.588
I7 0.562 0.562 0.412
I8 0.571 0.082 0.709
I9 0.629 0.140 0.057
I10 0.850 0.850 0.287
I11 0.860 0.371 0.943
I12 0.918 0.429 0.291
O1 0.500 0.500 0.000



3.
## K2U3I4O20 (r2SCAN)

Data for an optimized crystal structure of K2U3I4O20.

E_tot in eV/atom: -18.021
ΔH_f (0 K) in meV per atom: -1830

Cell: 7.024 7.855 9.010 Å, 92.72 105.32 91.43°
Fractional positions:
K1 0.250 0.102 0.339
K2 0.750 0.898 0.661
U1 0.000 0.500 0.500
U2 0.450 0.585 0.306
U3 0.550 0.415 0.694
I1 0.124 0.296 0.881
I2 0.293 0.849 0.933
I3 0.707 0.151 0.067
I4 0.876 0.704 0.119
O1 0.044 0.784 0.941
O2 0.049 0.717 0.583
O3 0.087 0.091 0.780
O4 0.108 0.607 0.210
O5 0.227 0.404 0.737
O6 0.309 0.486 0.485
O7 0.348 0.030 0.071
O8 0.427 0.367 0.222
O9 0.427 0.689 0.057
O10 0.471 0.805 0.386
O11 0.529 0.195 0.614
O12 0.573 0.311 0.943
O13 0.573 0.633 0.778
O14 0.652 0.970 0.929
O15 0.691 0.514 0.515
O16 0.773 0.596 0.263
O17 0.892 0.393 0.790
O18 0.913 0.909 0.220
O19 0.951 0.283 0.417
O20 0.956 0.216 0.059



4.
## KVI2O8 (r2SCAN)

Data for an optimized crystal structure of KVI2O8.

E_tot in eV/atom: -10.989
ΔH_f (0 K) in meV per atom: -1238

Cell: 9.414 5.199 16.107 Å, 90.00 109.65 90.00°
Fractional positions:
K1 0.084 0.222 0.407
K2 0.084 0.278 0.907
K3 0.916 0.722 0.093
K4 0.916 0.778 0.593
V1 0.298 0.720 0.313
V2 0.298 0.780 0.813
V3 0.702 0.220 0.187
V4 0.702 0.280 0.687
I1 0.225 0.223 0.178
I2 0.225 0.277 0.678
I3 0.438 0.682 0.071
I4 0.438 0.818 0.571
I5 0.562 0.182 0.429
I6 0.562 0.318 0.929
I7 0.775 0.723 0.322
I8 0.775 0.777 0.822
O1 0.071 0.235 0.078
O2 0.071 0.265 0.578
O3 0.153 0.550 0.725
O4 0.153 0.950 0.225
O5 0.157 0.036 0.741
O6 0.157 0.464 0.241
O7 0.261 0.678 0.405
O8 0.261 0.822 0.905
O9 0.297 0.686 0.125
O10 0.297 0.814 0.625
O11 0.381 0.125 0.517
O12 0.381 0.375 0.017
O13 0.396 0.058 0.337
O14 0.396 0.442 0.837
O15 0.454 0.560 0.321
O16 0.454 0.940 0.821
O17 0.546 0.060 0.179
O18 0.546 0.440 0.679
O19 0.604 0.558 0.163
O20 0.604 0.942 0.663
O21 0.619 0.625 0.983
O22 0.619 0.875 0.483
O23 0.703 0.186 0.375
O24 0.703 0.314 0.875
O25 0.739 0.178 0.095
O26 0.739 0.322 0.595
O27 0.843 0.536 0.759
O28 0.843 0.964 0.259
O29 0.847 0.050 0.775
O30 0.847 0.450 0.275
O31 0.929 0.735 0.422
O32 0.929 0.765 0.922



5.
## K4P21I (r2SCAN)

Data for an optimized crystal structure of K4P21I.

E_tot in eV/atom: -9.498
ΔH_f (0 K) in meV per atom: -356

Cell: 12.745 12.745 9.810 Å, 90.00 90.00 61.88°
Fractional positions:
K1 0.070 0.754 0.750
K2 0.246 0.930 0.750
K3 0.379 0.379 0.000
K4 0.379 0.379 0.500
K5 0.621 0.621 0.000
K6 0.621 0.621 0.500
K7 0.754 0.070 0.250
K8 0.930 0.246 0.250
P1 0.008 0.690 0.076
P2 0.008 0.690 0.424
P3 0.039 0.961 0.250
P4 0.055 0.507 0.750
P5 0.060 0.498 0.084
P6 0.060 0.498 0.416
P7 0.120 0.231 0.750
P8 0.146 0.854 0.086
P9 0.146 0.854 0.414
P10 0.181 0.670 0.135
P11 0.181 0.670 0.365
P12 0.210 0.336 0.750
P13 0.231 0.120 0.250
P14 0.310 0.992 0.076
P15 0.310 0.992 0.424
P16 0.330 0.819 0.135
P17 0.330 0.819 0.365
P18 0.336 0.210 0.250
P19 0.493 0.945 0.750
P20 0.498 0.060 0.584
P21 0.498 0.060 0.916
P22 0.502 0.940 0.084
P23 0.502 0.940 0.416
P24 0.507 0.055 0.250
P25 0.664 0.790 0.750
P26 0.670 0.181 0.635
P27 0.670 0.181 0.865
P28 0.690 0.008 0.576
P29 0.690 0.008 0.924
P30 0.769 0.880 0.750
P31 0.790 0.664 0.250
P32 0.819 0.330 0.635
P33 0.819 0.330 0.865
P34 0.854 0.146 0.586
P35 0.854 0.146 0.914
P36 0.880 0.769 0.250
P37 0.940 0.502 0.584
P38 0.940 0.502 0.916
P39 0.945 0.493 0.250
P40 0.961 0.039 0.750
P41 0.992 0.310 0.576
P42 0.992 0.310 0.924
I1 0.398 0.602 0.750
I2 0.602 0.398 0.250



6.
## K2PrI5 (r2SCAN)

Data for an optimized crystal structure of K2PrI5.

E_tot in eV/atom: -22.237
ΔH_f (0 K) in meV per atom: -1708

Cell: 14.435 9.909 9.206 Å, 90.00 90.00 90.00°
Fractional positions:
K1 0.173 0.005 0.064
K2 0.173 0.495 0.064
K3 0.327 0.505 0.564
K4 0.327 0.995 0.564
K5 0.673 0.005 0.436
K6 0.673 0.495 0.436
K7 0.827 0.505 0.936
K8 0.827 0.995 0.936
Pr1 0.006 0.250 0.582
Pr2 0.494 0.750 0.082
Pr3 0.506 0.250 0.918
Pr4 0.994 0.750 0.418
I1 0.006 0.250 0.935
I2 0.076 0.546 0.672
I3 0.076 0.954 0.672
I4 0.186 0.250 0.376
I5 0.209 0.750 0.340
I6 0.291 0.250 0.840
I7 0.314 0.750 0.876
I8 0.424 0.046 0.172
I9 0.424 0.454 0.172
I10 0.494 0.750 0.435
I11 0.506 0.250 0.565
I12 0.576 0.546 0.828
I13 0.576 0.954 0.828
I14 0.686 0.250 0.124
I15 0.709 0.750 0.160
I16 0.791 0.250 0.660
I17 0.814 0.750 0.624
I18 0.924 0.046 0.328
I19 0.924 0.454 0.328
I20 0.994 0.750 0.065



7.
## KYbI3 (r2SCAN)

Data for an optimized crystal structure of KYbI3.

E_tot in eV/atom: -24.610
ΔH_f (0 K) in meV per atom: -1365

Cell: 8.171 8.171 11.483 Å, 90.00 90.00 151.08°
Fractional positions:
K1 0.244 0.756 0.750
K2 0.756 0.244 0.250
Yb1 0.500 0.500 0.000
Yb2 0.500 0.500 0.500
I1 0.138 0.862 0.052
I2 0.138 0.862 0.448
I3 0.442 0.558 0.250
I4 0.558 0.442 0.750
I5 0.862 0.138 0.552
I6 0.862 0.138 0.948



8.
## LaI (r2SCAN)

Data for an optimized crystal structure of LaI.

E_tot in eV/atom: -28.409
ΔH_f (0 K) in meV per atom: -1257

Cell: 3.979 3.979 9.774 Å, 90.00 90.00 120.00°
Fractional positions:
La1 0.000 0.000 0.000
La2 0.000 0.000 0.500
I1 0.333 0.667 0.250
I2 0.667 0.333 0.750



9.
## La6OsI10 (r2SCAN)

Data for an optimized crystal structure of La6OsI10.

E_tot in eV/atom: -29.625
ΔH_f (0 K) in meV per atom: -1563

Cell: 8.107 10.089 10.270 Å, 108.47 97.37 105.47°
Fractional positions:
La1 0.029 0.214 0.411
La2 0.124 0.545 0.252
La3 0.346 0.627 0.668
La4 0.654 0.373 0.332
La5 0.876 0.455 0.748
La6 0.971 0.786 0.589
Os1 0.000 0.500 0.500
I1 0.091 0.872 0.324
I2 0.215 0.238 0.148
I3 0.262 0.586 0.960
I4 0.359 0.962 0.779
I5 0.451 0.313 0.586
I6 0.549 0.687 0.414
I7 0.641 0.038 0.221
I8 0.738 0.414 0.040
I9 0.785 0.762 0.852
I10 0.909 0.128 0.676



10.
## La3OsI3 (r2SCAN)

Data for an optimized crystal structure of La3OsI3.

E_tot in eV/atom: -32.100
ΔH_f (0 K) in meV per atom: -1257

Cell: 10.958 10.958 10.958 Å, 109.49 109.49 109.43°
Fractional positions:
La1 0.000 0.000 0.000
La2 0.001 0.182 0.727
La3 0.045 0.750 0.294
La4 0.046 0.477 0.477
La5 0.229 0.204 0.478
La6 0.250 0.955 0.706
La7 0.251 0.477 0.272
La8 0.523 0.749 0.728
La9 0.523 0.954 0.523
La10 0.795 0.205 0.000
La11 0.796 0.771 0.522
La12 0.818 0.999 0.273
Os1 0.023 0.228 0.249
Os2 0.023 0.977 0.500
Os3 0.274 0.726 0.500
Os4 0.772 0.977 0.751
I1 0.023 0.487 0.990
I2 0.023 0.717 0.760
I3 0.283 0.487 0.770
I4 0.283 0.977 0.240
I5 0.293 0.237 0.010
I6 0.513 0.717 0.230
I7 0.513 0.977 0.010
I8 0.533 0.247 0.760
I9 0.533 0.467 0.500
I10 0.753 0.467 0.240
I11 0.763 0.237 0.500
I12 0.763 0.707 0.990



11.
## La3PI3 (r2SCAN)

Data for an optimized crystal structure of La3PI3.

E_tot in eV/atom: -26.270
ΔH_f (0 K) in meV per atom: -1711

Cell: 10.869 10.869 10.869 Å, 109.47 109.47 109.47°
Fractional positions:
La1 0.018 0.037 0.268
La2 0.018 0.482 0.750
La3 0.037 0.268 0.018
La4 0.232 0.268 0.750
La5 0.232 0.463 0.482
La6 0.268 0.018 0.037
La7 0.268 0.750 0.232
La8 0.463 0.482 0.232
La9 0.482 0.232 0.463
La10 0.482 0.750 0.018
La11 0.750 0.018 0.482
La12 0.750 0.232 0.268
P1 0.000 0.250 0.500
P2 0.250 0.250 0.250
P3 0.250 0.500 0.000
P4 0.500 0.000 0.250
I1 0.250 0.760 0.740
I2 0.250 0.990 0.510
I3 0.510 0.250 0.990
I4 0.510 0.760 0.520
I5 0.520 0.510 0.760
I6 0.740 0.250 0.760
I7 0.740 0.990 0.980
I8 0.760 0.520 0.510
I9 0.760 0.740 0.250
I10 0.980 0.740 0.990
I11 0.990 0.510 0.250
I12 0.990 0.980 0.740



12.
## La5Pb3I (r2SCAN)

Data for an optimized crystal structure of La5Pb3I.

E_tot in eV/atom: -38.976
ΔH_f (0 K) in meV per atom: -960

Cell: 9.856 9.856 7.202 Å, 90.00 90.00 120.00°
Fractional positions:
La1 0.000 0.277 0.250
La2 0.000 0.723 0.750
La3 0.277 0.000 0.250
La4 0.277 0.277 0.750
La5 0.333 0.667 0.000
La6 0.333 0.667 0.500
La7 0.667 0.333 0.000
La8 0.667 0.333 0.500
La9 0.723 0.000 0.750
La10 0.723 0.723 0.250
Pb1 0.000 0.384 0.750
Pb2 0.000 0.616 0.250
Pb3 0.384 0.000 0.750
Pb4 0.384 0.384 0.250
Pb5 0.616 0.000 0.250
Pb6 0.616 0.616 0.750
I1 0.000 0.000 0.000
I2 0.000 0.000 0.500